(1)
VASP calculation (PBE) on a relaxed NaSc3P8H14O24 crystal.

Output
The raw total energy is -0.473 Ry per atom. For the formation enthalpy at 0 K, the calculation gives -10466 kJ/mol of formula units.

a b c (Å): 7.711 9.772 9.807
angles (deg): 115.69 101.88 101.22
Fractional coordinates of all 50 atoms:
Na1 0.000 0.000 0.000
Sc1 0.000 0.500 0.500
Sc2 0.497 0.763 0.218
Sc3 0.503 0.237 0.782
P1 0.212 0.475 0.838
P2 0.221 0.997 0.376
P3 0.297 0.432 0.259
P4 0.313 0.879 0.770
P5 0.687 0.121 0.230
P6 0.703 0.568 0.741
P7 0.779 0.003 0.624
P8 0.788 0.525 0.162
H1 0.044 0.439 0.871
H2 0.063 0.912 0.391
H3 0.126 0.184 0.350
H4 0.245 0.290 0.002
H5 0.266 0.789 0.933
H6 0.467 0.418 0.328
H7 0.485 0.850 0.792
H8 0.515 0.150 0.208
H9 0.533 0.582 0.672
H10 0.734 0.211 0.067
H11 0.755 0.710 0.998
H12 0.874 0.816 0.650
H13 0.937 0.088 0.609
H14 0.956 0.561 0.129
O1 0.136 0.080 0.279
O2 0.161 0.465 0.674
O3 0.171 0.420 0.356
O4 0.171 0.742 0.613
O5 0.204 0.273 0.085
O6 0.251 0.883 0.918
O7 0.297 0.879 0.267
O8 0.304 0.351 0.847
O9 0.331 0.650 0.970
O10 0.338 0.577 0.238
O11 0.341 0.045 0.791
O12 0.352 0.128 0.539
O13 0.648 0.872 0.461
O14 0.659 0.955 0.209
O15 0.662 0.423 0.762
O16 0.669 0.350 0.030
O17 0.696 0.649 0.153
O18 0.703 0.121 0.733
O19 0.749 0.117 0.082
O20 0.796 0.727 0.915
O21 0.829 0.258 0.387
O22 0.829 0.580 0.644
O23 0.839 0.535 0.326
O24 0.864 0.920 0.721

***

(2)
VASP calculation (PBE) on a relaxed NaScP2H2O8 crystal.

Output
The raw total energy is -0.508 Ry per atom. For the formation enthalpy at 0 K, the calculation gives -3613 kJ/mol of formula units.

a b c (Å): 9.773 9.773 9.184
angles (deg): 106.87 106.87 115.07
Fractional coordinates of all 56 atoms:
Na1 0.173 0.827 0.500
Na2 0.250 0.627 0.921
Na3 0.627 0.250 0.421
Na4 0.827 0.173 0.000
Sc1 0.178 0.909 0.137
Sc2 0.457 0.681 0.671
Sc3 0.681 0.457 0.171
Sc4 0.909 0.178 0.637
P1 0.010 0.461 0.460
P2 0.350 0.382 0.815
P3 0.382 0.350 0.315
P4 0.461 0.010 0.960
P5 0.476 0.862 0.388
P6 0.862 0.476 0.888
P7 0.884 0.887 0.287
P8 0.887 0.884 0.787
H1 0.132 0.360 0.341
H2 0.168 0.202 0.055
H3 0.202 0.168 0.555
H4 0.360 0.132 0.841
H5 0.551 0.714 0.235
H6 0.695 0.823 0.039
H7 0.714 0.551 0.735
H8 0.823 0.695 0.539
O1 0.018 0.346 0.301
O2 0.031 0.877 0.269
O3 0.033 0.646 0.962
O4 0.039 0.960 0.963
O5 0.173 0.339 0.795
O6 0.197 0.609 0.598
O7 0.239 0.323 0.149
O8 0.322 0.876 0.328
O9 0.323 0.239 0.649
O10 0.339 0.173 0.295
O11 0.346 0.018 0.801
O12 0.348 0.919 0.030
O13 0.363 0.448 0.465
O14 0.448 0.363 0.965
O15 0.451 0.725 0.218
O16 0.452 0.564 0.837
O17 0.475 0.795 0.520
O18 0.530 0.909 0.883
O19 0.564 0.452 0.337
O20 0.609 0.197 0.098
O21 0.646 0.033 0.462
O22 0.714 0.742 0.760
O23 0.725 0.451 0.718
O24 0.742 0.714 0.260
O25 0.795 0.475 0.020
O26 0.796 0.927 0.144
O27 0.876 0.322 0.828
O28 0.877 0.031 0.769
O29 0.909 0.530 0.383
O30 0.919 0.348 0.530
O31 0.927 0.796 0.644
O32 0.960 0.039 0.463

***

(3)
VASP calculation (PBE) on a relaxed Na4PH5Se3O16 crystal.

Output
The raw total energy is -0.390 Ry per atom. For the formation enthalpy at 0 K, the calculation gives -4602 kJ/mol of formula units.

a b c (Å): 7.196 7.199 7.228
angles (deg): 85.21 80.08 79.95
Fractional coordinates of all 29 atoms:
Na1 0.000 0.000 0.000
Na2 0.061 0.324 0.479
Na3 0.645 0.392 0.822
Na4 0.708 0.698 0.338
P1 0.127 0.796 0.446
H1 0.315 0.856 0.179
H2 0.319 0.630 0.622
H3 0.370 0.072 0.694
H4 0.377 0.349 0.160
H5 0.914 0.969 0.652
Se1 0.103 0.465 0.953
Se2 0.574 0.877 0.863
Se3 0.599 0.225 0.363
O1 0.044 0.971 0.575
O2 0.175 0.891 0.243
O3 0.183 0.345 0.144
O4 0.301 0.509 0.807
O5 0.330 0.708 0.495
O6 0.351 0.008 0.826
O7 0.397 0.183 0.497
O8 0.520 0.801 0.086
O9 0.525 0.355 0.165
O10 0.640 0.710 0.714
O11 0.711 0.366 0.462
O12 0.726 0.033 0.825
O13 0.745 0.033 0.291
O14 0.955 0.662 0.014
O15 0.990 0.323 0.854
O16 0.993 0.657 0.465

***

(4)
VASP calculation (PBE) on a relaxed Na2PH6Se3O3 crystal.

Output
The raw total energy is -0.330 Ry per atom. For the formation enthalpy at 0 K, the calculation gives -1510 kJ/mol of formula units.

a b c (Å): 26.441 7.360 20.976
angles (deg): 90.00 113.30 90.00
Fractional coordinates of all 240 atoms:
Na1 0.020 0.035 0.289
Na2 0.020 0.465 0.789
Na3 0.131 0.712 0.494
Na4 0.131 0.788 0.994
Na5 0.132 0.212 0.495
Na6 0.132 0.288 0.995
Na7 0.150 0.172 0.201
Na8 0.150 0.328 0.701
Na9 0.351 0.707 0.051
Na10 0.351 0.793 0.551
Na11 0.368 0.717 0.363
Na12 0.368 0.783 0.863
Na13 0.370 0.216 0.364
Na14 0.370 0.284 0.864
Na15 0.478 0.568 0.267
Na16 0.478 0.932 0.767
Na17 0.522 0.068 0.233
Na18 0.522 0.432 0.733
Na19 0.630 0.716 0.136
Na20 0.630 0.784 0.636
Na21 0.632 0.217 0.137
Na22 0.632 0.283 0.637
Na23 0.649 0.207 0.449
Na24 0.649 0.293 0.949
Na25 0.850 0.672 0.299
Na26 0.850 0.828 0.799
Na27 0.868 0.712 0.005
Na28 0.868 0.788 0.505
Na29 0.869 0.212 0.006
Na30 0.869 0.288 0.506
Na31 0.980 0.535 0.211
Na32 0.980 0.965 0.711
P1 0.104 0.716 0.178
P2 0.104 0.784 0.678
P3 0.143 0.694 0.298
P4 0.143 0.806 0.798
P5 0.357 0.236 0.156
P6 0.357 0.264 0.656
P7 0.396 0.242 0.075
P8 0.396 0.258 0.575
P9 0.604 0.742 0.425
P10 0.604 0.758 0.925
P11 0.643 0.736 0.344
P12 0.643 0.764 0.844
P13 0.857 0.194 0.202
P14 0.857 0.306 0.702
P15 0.896 0.216 0.322
P16 0.896 0.284 0.822
H1 0.033 0.526 0.948
H2 0.033 0.974 0.448
H3 0.035 0.051 0.961
H4 0.035 0.449 0.461
H5 0.060 0.526 0.029
H6 0.060 0.974 0.529
H7 0.063 0.029 0.042
H8 0.063 0.471 0.542
H9 0.082 0.146 0.854
H10 0.082 0.354 0.354
H11 0.123 0.203 0.353
H12 0.123 0.297 0.853
H13 0.194 0.042 0.942
H14 0.194 0.458 0.442
H15 0.196 0.083 0.636
H16 0.196 0.417 0.136
H17 0.201 0.541 0.955
H18 0.201 0.959 0.455
H19 0.223 0.232 0.130
H20 0.223 0.268 0.630
H21 0.226 0.042 0.023
H22 0.226 0.458 0.523
H23 0.229 0.523 0.036
H24 0.229 0.977 0.536
H25 0.272 0.542 0.804
H26 0.272 0.958 0.304
H27 0.274 0.027 0.802
H28 0.274 0.473 0.302
H29 0.276 0.740 0.407
H30 0.276 0.760 0.907
H31 0.301 0.527 0.751
H32 0.301 0.973 0.251
H33 0.305 0.030 0.753
H34 0.305 0.470 0.253
H35 0.306 0.557 0.438
H36 0.306 0.943 0.938
H37 0.377 0.733 0.230
H38 0.377 0.767 0.730
H39 0.417 0.614 0.774
H40 0.417 0.886 0.274
H41 0.437 0.531 0.978
H42 0.437 0.969 0.478
H43 0.440 0.025 0.971
H44 0.440 0.475 0.471
H45 0.466 0.549 0.925
H46 0.466 0.951 0.425
H47 0.467 0.021 0.916
H48 0.467 0.479 0.416
H49 0.533 0.521 0.584
H50 0.533 0.979 0.084
H51 0.534 0.049 0.575
H52 0.534 0.451 0.075
H53 0.560 0.525 0.529
H54 0.560 0.975 0.029
H55 0.563 0.031 0.522
H56 0.563 0.469 0.022
H57 0.583 0.114 0.726
H58 0.583 0.386 0.226
H59 0.623 0.233 0.270
H60 0.623 0.267 0.770
H61 0.694 0.057 0.062
H62 0.694 0.443 0.562
H63 0.695 0.530 0.747
H64 0.695 0.970 0.247
H65 0.699 0.027 0.749
H66 0.699 0.473 0.249
H67 0.724 0.240 0.093
H68 0.724 0.260 0.593
H69 0.726 0.527 0.698
H70 0.726 0.973 0.198
H71 0.728 0.042 0.696
H72 0.728 0.458 0.196
H73 0.771 0.023 0.464
H74 0.771 0.477 0.964
H75 0.774 0.542 0.477
H76 0.774 0.958 0.977
H77 0.777 0.732 0.370
H78 0.777 0.768 0.870
H79 0.799 0.041 0.545
H80 0.799 0.459 0.045
H81 0.804 0.583 0.864
H82 0.804 0.917 0.364
H83 0.806 0.542 0.558
H84 0.806 0.958 0.058
H85 0.877 0.703 0.147
H86 0.877 0.797 0.647
H87 0.918 0.646 0.646
H88 0.918 0.854 0.146
H89 0.937 0.529 0.458
H90 0.937 0.971 0.958
H91 0.940 0.026 0.471
H92 0.940 0.474 0.971
H93 0.965 0.551 0.539
H94 0.965 0.949 0.039
H95 0.967 0.026 0.552
H96 0.967 0.474 0.052
Se1 0.047 0.547 0.654
Se2 0.047 0.953 0.154
Se3 0.059 0.044 0.642
Se4 0.059 0.456 0.142
Se5 0.074 0.676 0.333
Se6 0.074 0.824 0.833
Se7 0.175 0.742 0.652
Se8 0.175 0.758 0.152
Se9 0.192 0.057 0.825
Se10 0.192 0.443 0.325
Se11 0.193 0.557 0.837
Se12 0.193 0.943 0.337
Se13 0.301 0.001 0.133
Se14 0.301 0.499 0.633
Se15 0.314 0.001 0.646
Se16 0.314 0.499 0.146
Se17 0.325 0.222 0.477
Se18 0.325 0.278 0.977
Se19 0.426 0.206 0.259
Se20 0.426 0.294 0.759
Se21 0.440 0.519 0.586
Se22 0.440 0.981 0.086
Se23 0.453 0.022 0.604
Se24 0.453 0.478 0.104
Se25 0.547 0.522 0.896
Se26 0.547 0.978 0.396
Se27 0.560 0.019 0.914
Se28 0.560 0.481 0.414
Se29 0.574 0.706 0.241
Se30 0.574 0.794 0.741
Se31 0.675 0.722 0.023
Se32 0.675 0.778 0.523
Se33 0.686 0.501 0.854
Se34 0.686 0.999 0.354
Se35 0.699 0.501 0.367
Se36 0.699 0.999 0.867
Se37 0.807 0.057 0.663
Se38 0.807 0.443 0.163
Se39 0.808 0.557 0.675
Se40 0.808 0.943 0.175
Se41 0.825 0.242 0.848
Se42 0.825 0.258 0.348
Se43 0.926 0.176 0.167
Se44 0.926 0.324 0.667
Se45 0.941 0.544 0.858
Se46 0.941 0.956 0.358
Se47 0.953 0.047 0.846
Se48 0.953 0.453 0.346
O1 0.069 0.539 0.988
O2 0.069 0.961 0.488
O3 0.071 0.041 0.000
O4 0.071 0.459 0.500
O5 0.090 0.222 0.363
O6 0.090 0.278 0.863
O7 0.188 0.214 0.625
O8 0.188 0.286 0.125
O9 0.189 0.037 0.986
O10 0.189 0.463 0.486
O11 0.193 0.542 0.997
O12 0.193 0.958 0.497
O13 0.308 0.527 0.801
O14 0.308 0.973 0.301
O15 0.311 0.037 0.802
O16 0.311 0.463 0.302
O17 0.312 0.689 0.437
O18 0.312 0.811 0.937
O19 0.409 0.745 0.774
O20 0.409 0.755 0.274
O21 0.429 0.540 0.928
O22 0.429 0.960 0.428
O23 0.431 0.034 0.920
O24 0.431 0.466 0.420
O25 0.569 0.534 0.580
O26 0.569 0.966 0.080
O27 0.571 0.040 0.572
O28 0.571 0.460 0.072
O29 0.591 0.245 0.726
O30 0.591 0.255 0.226
O31 0.688 0.189 0.063
O32 0.688 0.311 0.563
O33 0.689 0.537 0.698
O34 0.689 0.963 0.198
O35 0.692 0.027 0.699
O36 0.692 0.473 0.199
O37 0.807 0.042 0.503
O38 0.807 0.458 0.003
O39 0.811 0.537 0.514
O40 0.811 0.963 0.014
O41 0.812 0.714 0.875
O42 0.812 0.786 0.375
O43 0.910 0.722 0.137
O44 0.910 0.778 0.637
O45 0.929 0.541 0.500
O46 0.929 0.959 0.000
O47 0.931 0.039 0.512
O48 0.931 0.461 0.012